No. 1
# Rb2MnS2, relaxed, DFT r2SCAN
data_Rb2MnS2
_space_group_name_H-M_alt 'I b a m'
_space_group_IT_number 72
_space_group_name_Hall '-I 2 2c'
_cell_length_a 7.090
_cell_length_b 13.247
_cell_length_c 6.390
_cell_angle_alpha 90.00
_cell_angle_beta 90.00
_cell_angle_gamma 90.00
loop_
_atom_site_label
_atom_site_fract_x
_atom_site_fract_y
_atom_site_fract_z
_atom_site_occupancy
Rb1 0.161 0.148 0.000 1
Mn1 0.000 0.500 0.250 1
S1 0.185 0.401 0.000 1
# DFT formation energy ... -1.3100 eV/atom
# DFT total energy ... -13.033 eV/atom

=====

No. 2
# Ca3Ga2Pd2, relaxed, DFT r2SCAN
data_Ca3Ga2Pd2
_space_group_name_H-M_alt 'P b c m'
_space_group_IT_number 57
_cell_length_a 5.797
_cell_length_b 7.893
_cell_length_c 13.838
_cell_angle_alpha 90.00
_cell_angle_beta 90.00
_cell_angle_gamma 90.00
loop_
_space_group_symop_operation_xyz
'x,y,z'
'-x,-y,-z'
'-x,-y,z+1/2'
'x,y,-z+1/2'
'x,-y+1/2,-z'
'-x,y+1/2,z'
'-x,y+1/2,-z+1/2'
'x,-y+1/2,z+1/2'
loop_
_atom_site_label
_atom_site_fract_x
_atom_site_fract_y
_atom_site_fract_z
_atom_site_occupancy
Ca1 0.136 0.244 0.250 1
Ca2 0.359 0.606 0.599 1
Ga1 0.128 0.250 0.000 1
Ga2 0.350 0.594 0.250 1
Pd1 0.133 0.532 0.092 1
# DFT formation energy ... -0.7415 eV/atom
# DFT total energy ... -13.587 eV/atom